Entry 1:
Nd4Bi3: relaxed, r²SCAN.

Calculated values
**Energy**: -600.4 eV/cell

The structure in CIF format:
```
data_Nd4Bi3
_symmetry_space_group_name_H-M 'P 1'
_symmetry_Int_Tables_number 1
_symmetry_space_group_name_Hall 'P 1'
_cell_length_a 8.3822
_cell_length_b 8.3822
_cell_length_c 8.3822
_cell_angle_alpha 109.47
_cell_angle_beta 109.47
_cell_angle_gamma 109.47
loop_
_atom_site_label
_atom_site_fract_x
_atom_site_fract_y
_atom_site_fract_z
Nd1 0.0000 0.1420 0.5000
Nd2 0.0000 0.6420 0.5000
Nd3 0.1420 0.5000 0.0000
Nd4 0.3580 0.3580 0.3580
Nd5 0.5000 0.0000 0.1420
Nd6 0.5000 0.0000 0.6420
Nd7 0.6420 0.5000 0.0000
Nd8 0.8580 0.8580 0.8580
Bi1 0.1250 0.8750 0.2500
Bi2 0.2500 0.1250 0.8750
Bi3 0.3750 0.6250 0.7500
Bi4 0.6250 0.7500 0.3750
Bi5 0.7500 0.3750 0.6250
Bi6 0.8750 0.2500 0.1250
```


Entry 2:
Nd3Ni3Bi4: relaxed, r²SCAN.

Calculated values
**Energy**: -729.2 eV/cell

The structure in CIF format:
```
data_Nd3Ni3Bi4
_symmetry_space_group_name_H-M 'P 1'
_symmetry_Int_Tables_number 1
_symmetry_space_group_name_Hall 'P 1'
_cell_length_a 8.5181
_cell_length_b 8.5181
_cell_length_c 8.5181
_cell_angle_alpha 109.47
_cell_angle_beta 109.47
_cell_angle_gamma 109.47
loop_
_atom_site_label
_atom_site_fract_x
_atom_site_fract_y
_atom_site_fract_z
Nd1 0.1250 0.8750 0.2500
Nd2 0.2500 0.1250 0.8750
Nd3 0.3750 0.6250 0.7500
Nd4 0.6250 0.7500 0.3750
Nd5 0.7500 0.3750 0.6250
Nd6 0.8750 0.2500 0.1250
Ni1 0.1250 0.7500 0.8750
Ni2 0.2500 0.6250 0.3750
Ni3 0.3750 0.2500 0.6250
Ni4 0.6250 0.3750 0.2500
Ni5 0.7500 0.8750 0.1250
Ni6 0.8750 0.1250 0.7500
Bi1 0.0000 0.1487 0.5000
Bi2 0.0000 0.6487 0.5000
Bi3 0.1487 0.5000 0.0000
Bi4 0.3513 0.3513 0.3513
Bi5 0.5000 0.0000 0.1487
Bi6 0.5000 0.0000 0.6487
Bi7 0.6487 0.5000 0.0000
Bi8 0.8513 0.8513 0.8513
```


Entry 3:
NdBiRh: relaxed, r²SCAN.

Calculated values
**Energy**: -458.0 eV/cell

The structure in CIF format:
```
data_NdBiRh
_symmetry_space_group_name_H-M 'P 1'
_symmetry_Int_Tables_number 1
_symmetry_space_group_name_Hall 'P 1'
_cell_length_a 7.4789
_cell_length_b 4.7483
_cell_length_c 8.0410
_cell_angle_alpha 90.00
_cell_angle_beta 90.00
_cell_angle_gamma 90.00
loop_
_atom_site_label
_atom_site_fract_x
_atom_site_fract_y
_atom_site_fract_z
Nd1 0.0146 0.2500 0.1983
Nd2 0.4854 0.7500 0.6983
Nd3 0.5146 0.2500 0.3017
Nd4 0.9854 0.7500 0.8017
Bi1 0.1853 0.2500 0.5905
Bi2 0.3147 0.7500 0.0905
Bi3 0.6853 0.2500 0.9095
Bi4 0.8147 0.7500 0.4095
Rh1 0.2039 0.7500 0.4199
Rh2 0.2961 0.2500 0.9199
Rh3 0.7039 0.7500 0.0801
Rh4 0.7961 0.2500 0.5801
```


Which value of energy does entry 1 give?
-600.4 eV/cell


Copy entry 1 word for word.
Nd4Bi3: relaxed, r²SCAN.

Calculated values
**Energy**: -600.4 eV/cell

The structure in CIF format:
```
data_Nd4Bi3
_symmetry_space_group_name_H-M 'P 1'
_symmetry_Int_Tables_number 1
_symmetry_space_group_name_Hall 'P 1'
_cell_length_a 8.3822
_cell_length_b 8.3822
_cell_length_c 8.3822
_cell_angle_alpha 109.47
_cell_angle_beta 109.47
_cell_angle_gamma 109.47
loop_
_atom_site_label
_atom_site_fract_x
_atom_site_fract_y
_atom_site_fract_z
Nd1 0.0000 0.1420 0.5000
Nd2 0.0000 0.6420 0.5000
Nd3 0.1420 0.5000 0.0000
Nd4 0.3580 0.3580 0.3580
Nd5 0.5000 0.0000 0.1420
Nd6 0.5000 0.0000 0.6420
Nd7 0.6420 0.5000 0.0000
Nd8 0.8580 0.8580 0.8580
Bi1 0.1250 0.8750 0.2500
Bi2 0.2500 0.1250 0.8750
Bi3 0.3750 0.6250 0.7500
Bi4 0.6250 0.7500 0.3750
Bi5 0.7500 0.3750 0.6250
Bi6 0.8750 0.2500 0.1250
```


Number 3 is which compound?
NdBiRh